(1)
Density functional theory data (PBE+U) for a geometry-optimized LiMn3Al2H6O12 structure.

CIF file:
```
data_LiMn3Al2H6O12
_chemical_formula_sum 'Li2 Mn6 Al4 H12 O24'
_space_group_name_H-M_alt 'P 1'
_space_group_IT_number 1
_cell_length_a 5.9691
_cell_length_b 7.7985
_cell_length_c 10.1190
_cell_angle_alpha 70.40
_cell_angle_beta 89.27
_cell_angle_gamma 78.36
loop_
_space_group_symop_operation_xyz
'x,y,z'
loop_
_atom_site_label
_atom_site_type_symbol
_atom_site_fract_x
_atom_site_fract_y
_atom_site_fract_z
_atom_site_occupancy
Li1 Li 0.0793 0.1567 0.4968 1
Li2 Li 0.9207 0.8433 0.5032 1
Mn1 Mn 0.0794 0.1682 0.9970 1
Mn2 Mn 0.2513 0.4987 0.0014 1
Mn3 Mn 0.4208 0.8319 0.0034 1
Mn4 Mn 0.5792 0.1681 0.9966 1
Mn5 Mn 0.7487 0.5013 0.9986 1
Mn6 Mn 0.9206 0.8318 0.0030 1
Al1 Al 0.2438 0.5017 0.4987 1
Al2 Al 0.4136 0.8368 0.5032 1
Al3 Al 0.5864 0.1632 0.4968 1
Al4 Al 0.7562 0.4983 0.5013 1
H1 H 0.0013 0.4985 0.2884 1
H2 H 0.1872 0.8058 0.2969 1
H3 H 0.1879 0.8438 0.7108 1
H4 H 0.3376 0.1931 0.6992 1
H5 H 0.3559 0.1394 0.2905 1
H6 H 0.4924 0.5123 0.7097 1
H7 H 0.5076 0.4877 0.2903 1
H8 H 0.6441 0.8606 0.7095 1
H9 H 0.6624 0.8069 0.3008 1
H10 H 0.8121 0.1562 0.2892 1
H11 H 0.8128 0.1942 0.7031 1
H12 H 0.9987 0.5015 0.7116 1
O1 O 0.0078 0.4297 0.8928 1
O2 O 0.0106 0.4626 0.3926 1
O3 O 0.1504 0.8996 0.1030 1
O4 O 0.1719 0.8828 0.6081 1
O5 O 0.1885 0.7704 0.9012 1
O6 O 0.2075 0.7581 0.3996 1
O7 O 0.3228 0.2297 0.1027 1
O8 O 0.3349 0.2454 0.5952 1
O9 O 0.3560 0.0982 0.8957 1
O10 O 0.3710 0.0934 0.3934 1
O11 O 0.4859 0.5616 0.6049 1
O12 O 0.4941 0.5707 0.1090 1
O13 O 0.5059 0.4293 0.8910 1
O14 O 0.5141 0.4384 0.3951 1
O15 O 0.6290 0.9066 0.6066 1
O16 O 0.6440 0.9018 0.1043 1
O17 O 0.6651 0.7546 0.4048 1
O18 O 0.6772 0.7703 0.8973 1
O19 O 0.7925 0.2419 0.6004 1
O20 O 0.8115 0.2296 0.0988 1
O21 O 0.8281 0.1172 0.3919 1
O22 O 0.8496 0.1004 0.8970 1
O23 O 0.9894 0.5374 0.6074 1
O24 O 0.9922 0.5703 0.1072 1
```

Values from the calculation:
Energy in hartree per atom: -0.2327
Total magnetization in μB/atom: 0.417
Calculated formation energy in eV per atom: -2.024
Space-group type: No. 2

(2)
Density functional theory data (PBE+U) for a geometry-optimized Mn2F7 structure.

CIF file:
```
data_Mn2F7
_chemical_formula_sum 'Mn4 F14'
_space_group_name_H-M_alt 'P 1'
_space_group_IT_number 1
_cell_length_a 5.3527
_cell_length_b 6.3600
_cell_length_c 8.6825
_cell_angle_alpha 71.06
_cell_angle_beta 75.52
_cell_angle_gamma 83.57
loop_
_space_group_symop_operation_xyz
'x,y,z'
loop_
_atom_site_label
_atom_site_type_symbol
_atom_site_fract_x
_atom_site_fract_y
_atom_site_fract_z
_atom_site_occupancy
Mn1 Mn 0.2116 0.4737 0.3255 1
Mn2 Mn 0.2863 0.2826 0.8067 1
Mn3 Mn 0.7137 0.7174 0.1933 1
Mn4 Mn 0.7884 0.5263 0.6745 1
F1 F 0.0523 0.6254 0.1237 1
F2 F 0.1081 0.2078 0.3597 1
F3 F 0.1844 0.4144 0.5841 1
F4 F 0.2128 0.0211 0.8082 1
F5 F 0.3379 0.1987 0.0092 1
F6 F 0.3559 0.7559 0.2937 1
F7 F 0.4169 0.5749 0.7638 1
F8 F 0.5831 0.4251 0.2362 1
F9 F 0.6441 0.2441 0.7063 1
F10 F 0.6621 0.8013 0.9908 1
F11 F 0.7872 0.9789 0.1918 1
F12 F 0.8156 0.5856 0.4159 1
F13 F 0.8919 0.7922 0.6403 1
F14 F 0.9477 0.3746 0.8763 1
```

Values from the calculation:
Energy in hartree per atom: -0.1944
Calculated formation energy in eV per atom: -2.495
Space-group type: No. 2

(3)
Density functional theory data (PBE+U) for a geometry-optimized YFeW2O8 structure.

CIF file:
```
data_YFeW2O8
_chemical_formula_sum 'Y2 Fe2 W4 O16'
_space_group_name_H-M_alt 'P 1'
_space_group_IT_number 1
_cell_length_a 5.2165
_cell_length_b 5.8472
_cell_length_c 10.0791
_cell_angle_alpha 89.93
_cell_angle_beta 85.46
_cell_angle_gamma 88.68
loop_
_space_group_symop_operation_xyz
'x,y,z'
loop_
_atom_site_label
_atom_site_type_symbol
_atom_site_fract_x
_atom_site_fract_y
_atom_site_fract_z
_atom_site_occupancy
Y1 Y 0.0000 0.0000 0.0000 1
Y2 Y 0.4910 0.3669 0.5196 1
Fe1 Fe 0.4945 0.3728 0.9966 1
Fe2 Fe 0.9964 0.9926 0.5246 1
W1 W 0.0027 0.5173 0.7661 1
W2 W 0.4874 0.8497 0.7539 1
W3 W 0.4937 0.8527 0.2659 1
W4 W 0.9973 0.5145 0.2537 1
O1 O 0.1241 0.2921 0.6413 1
O2 O 0.1576 0.3213 0.1272 1
O3 O 0.1911 0.7966 0.1637 1
O4 O 0.2024 0.7632 0.6418 1
O5 O 0.2881 0.6037 0.8782 1
O6 O 0.2998 0.5710 0.3562 1
O7 O 0.3341 0.0459 0.3926 1
O8 O 0.3663 0.0755 0.8784 1
O9 O 0.6334 0.0577 0.1449 1
O10 O 0.6474 0.0517 0.6149 1
O11 O 0.6759 0.5689 0.6657 1
O12 O 0.7027 0.5893 0.1526 1
O13 O 0.7881 0.7770 0.3670 1
O14 O 0.8146 0.7988 0.8538 1
O15 O 0.8427 0.3154 0.9050 1
O16 O 0.8578 0.3092 0.3747 1
```

Values from the calculation:
Energy in hartree per atom: -0.2863
Total magnetization in μB/atom: 0.000
Calculated formation energy in eV per atom: -2.472
Space-group type: No. 1

(4)
Density functional theory data (PBE+U) for a geometry-optimized Li3Mn2P2C2O14 structure.

CIF file:
```
data_Li3Mn2P2C2O14
_chemical_formula_sum 'Li6 Mn4 P4 C4 O28'
_space_group_name_H-M_alt 'P 1'
_space_group_IT_number 1
_cell_length_a 6.4775
_cell_length_b 8.2914
_cell_length_c 10.1184
_cell_angle_alpha 94.39
_cell_angle_beta 90.17
_cell_angle_gamma 90.41
loop_
_space_group_symop_operation_xyz
'x,y,z'
loop_
_atom_site_label
_atom_site_type_symbol
_atom_site_fract_x
_atom_site_fract_y
_atom_site_fract_z
_atom_site_occupancy
Li1 Li 0.0000 0.0000 0.0000 1
Li2 Li 0.0032 0.9935 0.5140 1
Li3 Li 0.0533 0.5233 0.7555 1
Li4 Li 0.4787 0.5392 0.2634 1
Li5 Li 0.5098 0.5234 0.7589 1
Li6 Li 0.7744 0.1670 0.2658 1
Mn1 Mn 0.2859 0.9351 0.2807 1
Mn2 Mn 0.2908 0.9348 0.7823 1
Mn3 Mn 0.7847 0.5935 0.4808 1
Mn4 Mn 0.7851 0.5955 0.9874 1
P1 P 0.2784 0.6837 0.5210 1
P2 P 0.2833 0.6863 0.0178 1
P3 P 0.7814 0.8438 0.2436 1
P4 P 0.7868 0.8442 0.7450 1
C1 C 0.2769 0.2180 0.7405 1
C2 C 0.2817 0.2181 0.2368 1
C3 C 0.7845 0.3144 0.0319 1
C4 C 0.7862 0.3058 0.5284 1
O1 O 0.0922 0.5732 0.4860 1
O2 O 0.0971 0.5777 0.9721 1
O3 O 0.2603 0.0957 0.1453 1
O4 O 0.2625 0.8479 0.4591 1
O5 O 0.2667 0.8522 0.9583 1
O6 O 0.2684 0.0984 0.6474 1
O7 O 0.2786 0.3652 0.7179 1
O8 O 0.2850 0.1654 0.3565 1
O9 O 0.2864 0.1656 0.8587 1
O10 O 0.2895 0.7179 0.6771 1
O11 O 0.2991 0.7210 0.1713 1
O12 O 0.3017 0.3606 0.2115 1
O13 O 0.4696 0.5872 0.4715 1
O14 O 0.4725 0.5896 0.9639 1
O15 O 0.5958 0.9425 0.7857 1
O16 O 0.5984 0.9585 0.2747 1
O17 O 0.7607 0.4366 0.1223 1
O18 O 0.7619 0.6828 0.3086 1
O19 O 0.7725 0.3478 0.4067 1
O20 O 0.7776 0.4345 0.6170 1
O21 O 0.7867 0.6744 0.8050 1
O22 O 0.7876 0.3625 0.9116 1
O23 O 0.8062 0.1728 0.0641 1
O24 O 0.8073 0.8040 0.0915 1
O25 O 0.8082 0.8072 0.5926 1
O26 O 0.8089 0.1664 0.5607 1
O27 O 0.9653 0.9522 0.2961 1
O28 O 0.9737 0.9469 0.7987 1
```

Values from the calculation:
Energy in hartree per atom: -0.2581
Total magnetization in μB/atom: 0.304
Calculated formation energy in eV per atom: -2.256
Space-group type: No. 1

(5)
Density functional theory data (PBE+U) for a geometry-optimized Ag2MoI4O14 structure.

CIF file:
```
data_Ag2MoI4O14
_chemical_formula_sum 'Ag4 Mo2 I8 O28'
_space_group_name_H-M_alt 'P 1'
_space_group_IT_number 1
_cell_length_a 7.0247
_cell_length_b 7.0247
_cell_length_c 17.7606
_cell_angle_alpha 98.42
_cell_angle_beta 98.42
_cell_angle_gamma 48.99
loop_
_space_group_symop_operation_xyz
'x,y,z'
loop_
_atom_site_label
_atom_site_type_symbol
_atom_site_fract_x
_atom_site_fract_y
_atom_site_fract_z
_atom_site_occupancy
Ag1 Ag 0.1708 0.1820 0.4601 1
Ag2 Ag 0.1820 0.1708 0.9601 1
Ag3 Ag 0.8180 0.8292 0.0399 1
Ag4 Ag 0.8292 0.8180 0.5399 1
Mo1 Mo 0.0687 0.9313 0.2500 1
Mo2 Mo 0.9313 0.0687 0.7500 1
I1 I 0.2779 0.2984 0.1743 1
I2 I 0.2984 0.2779 0.6743 1
I3 I 0.3571 0.5613 0.4122 1
I4 I 0.4387 0.6429 0.0878 1
I5 I 0.5613 0.3571 0.9122 1
I6 I 0.6429 0.4387 0.5878 1
I7 I 0.7016 0.7221 0.3257 1
I8 I 0.7221 0.7016 0.8257 1
O1 O 0.0071 0.7737 0.7431 1
O2 O 0.0328 0.4954 0.8754 1
O3 O 0.0831 0.5946 0.4302 1
O4 O 0.1234 0.8471 0.1392 1
O5 O 0.1529 0.8766 0.3608 1
O6 O 0.2263 0.9929 0.7569 1
O7 O 0.2497 0.5260 0.2523 1
O8 O 0.2503 0.6526 0.0004 1
O9 O 0.2849 0.4661 0.6083 1
O10 O 0.3474 0.7497 0.4996 1
O11 O 0.4054 0.9169 0.0698 1
O12 O 0.4661 0.2849 0.1083 1
O13 O 0.4740 0.7503 0.2477 1
O14 O 0.4954 0.0328 0.3754 1
O15 O 0.5046 0.9672 0.6246 1
O16 O 0.5260 0.2497 0.7523 1
O17 O 0.5339 0.7151 0.8917 1
O18 O 0.5946 0.0831 0.9302 1
O19 O 0.6526 0.2503 0.5004 1
O20 O 0.7151 0.5339 0.3917 1
O21 O 0.7497 0.3474 0.9996 1
O22 O 0.7503 0.4740 0.7477 1
O23 O 0.7737 0.0071 0.2431 1
O24 O 0.8471 0.1234 0.6392 1
O25 O 0.8766 0.1529 0.8608 1
O26 O 0.9169 0.4054 0.5698 1
O27 O 0.9672 0.5046 0.1246 1
O28 O 0.9929 0.2263 0.2569 1
```

Values from the calculation:
Energy in hartree per atom: -0.1735
Total magnetization in μB/atom: 0.000
Calculated formation energy in eV per atom: -0.958
Space-group type: No. 15

(6)
Density functional theory data (PBE+U) for a geometry-optimized Li2Ti2Mn3O10 structure.

CIF file:
```
data_Li2Ti2Mn3O10
_chemical_formula_sum 'Li4 Ti4 Mn6 O20'
_space_group_name_H-M_alt 'P 1'
_space_group_IT_number 1
_cell_length_a 5.1560
_cell_length_b 10.1057
_cell_length_c 8.2102
_cell_angle_alpha 113.57
_cell_angle_beta 97.85
_cell_angle_gamma 98.48
loop_
_space_group_symop_operation_xyz
'x,y,z'
loop_
_atom_site_label
_atom_site_type_symbol
_atom_site_fract_x
_atom_site_fract_y
_atom_site_fract_z
_atom_site_occupancy
Li1 Li 0.2397 0.4587 0.4028 1
Li2 Li 0.2395 0.9588 0.4027 1
Li3 Li 0.7675 0.0387 0.5935 1
Li4 Li 0.7669 0.5388 0.5931 1
Ti1 Ti 0.1305 0.3428 0.6816 1
Ti2 Ti 0.1311 0.8426 0.6818 1
Ti3 Ti 0.8609 0.1521 0.3201 1
Ti4 Ti 0.8613 0.6523 0.3202 1
Mn1 Mn 0.9956 0.7491 0.9969 1
Mn2 Mn 0.6938 0.9428 0.8968 1
Mn3 Mn 0.3039 0.5604 0.1050 1
Mn4 Mn 0.9956 0.2490 0.9970 1
Mn5 Mn 0.6934 0.4428 0.8969 1
Mn6 Mn 0.3042 0.0606 0.1050 1
O1 O 0.0089 0.0405 0.8506 1
O2 O 0.0087 0.5406 0.8508 1
O3 O 0.9545 0.4579 0.1255 1
O4 O 0.9546 0.9578 0.1253 1
O5 O 0.3519 0.3643 0.9355 1
O6 O 0.3522 0.8644 0.9355 1
O7 O 0.6500 0.1345 0.0655 1
O8 O 0.6497 0.6346 0.0659 1
O9 O 0.0950 0.1455 0.5171 1
O10 O 0.0953 0.6454 0.5172 1
O11 O 0.9231 0.3562 0.4845 1
O12 O 0.9239 0.8562 0.4848 1
O13 O 0.1783 0.2411 0.2106 1
O14 O 0.1783 0.7411 0.2106 1
O15 O 0.8179 0.2646 0.7825 1
O16 O 0.8179 0.7645 0.7825 1
O17 O 0.4749 0.4362 0.6875 1
O18 O 0.4753 0.9362 0.6876 1
O19 O 0.5526 0.0645 0.3435 1
O20 O 0.5529 0.5645 0.3435 1
```

Values from the calculation:
Energy in hartree per atom: -0.2764
Total magnetization in μB/atom: 0.000
Calculated formation energy in eV per atom: -2.539